BaLiP | the Materials Project | r2SCAN | relaxed; raw total energy = -13.684 eV/atom
1.0
4.524 0.000 0.000
-2.262 3.918 0.000
0.000 0.000 8.752
Ba Li P
2 2 2
Direct
0.000 0.000 0.000
0.000 0.000 0.500
0.333 0.667 0.250
0.667 0.333 0.750
0.333 0.667 0.750
0.667 0.333 0.250

***

CaMg2C3O9 | the Materials Project | r2SCAN | relaxed; energy above the most stable polymorph in this dataset = 19 meV per atom
1.0
-5.132 -1.316 -2.621
0.847 7.493 -0.693
5.543 -4.044 -4.521
Ca Mg C O
2 4 6 18
Direct
0.681 0.181 0.336
0.345 0.345 0.664
0.003 0.497 0.001
0.330 0.837 0.664
0.001 0.995 0.999
0.666 0.673 0.336
0.497 0.244 0.996
0.844 0.601 0.676
0.154 0.900 0.324
0.501 0.748 0.004
0.830 0.076 0.676
0.168 0.425 0.324
0.683 0.425 0.091
0.027 0.781 0.761
0.339 0.077 0.416
0.784 0.498 0.766
0.060 0.811 0.416
0.387 0.160 0.082
0.922 0.170 0.857
0.215 0.522 0.502
0.609 0.833 0.184
0.304 0.578 0.918
0.644 0.895 0.584
0.018 0.233 0.234
0.266 0.520 0.239
0.592 0.834 0.909
0.923 0.161 0.584
0.065 0.812 0.143
0.425 0.149 0.816
0.713 0.520 0.498

***

CsAsF4 | the Materials Project | r2SCAN | relaxed; raw total energy = -11.273 eV/atom
1.0
4.759 0.000 0.000
0.000 6.131 -2.433
0.000 0.021 8.437
Cs As F
2 2 8
Direct
0.698 0.100 0.783
0.198 0.900 0.217
0.191 0.541 0.689
0.691 0.459 0.311
0.204 0.843 0.836
0.704 0.157 0.164
0.562 0.545 0.716
0.062 0.455 0.284
0.724 0.769 0.415
0.224 0.231 0.585
0.619 0.509 0.123
0.119 0.491 0.877